(1)
A relaxed structure of LiPt2. Source: the Materials Project database, functional PBE-GGA.

Lattice parameters (Å, degrees): 5.2694 5.2694 5.2694 60.00 60.00 60.00
Last column: nearest neighbours and their distance in Å.
Sites, in units of the cell vectors:
Li  0.1250  0.1250  0.1250  12 Pt 3.09, 4 Li 3.23
Li  0.8750  0.8750  0.8750  12 Pt 3.09, 4 Li 3.23
Pt  0.0000  0.5000  0.5000  6 Pt 2.63
Pt  0.5000  0.0000  0.5000  6 Pt 2.63
Pt  0.5000  0.5000  0.0000  6 Pt 2.63
Pt  0.5000  0.5000  0.5000  6 Pt 2.63

Values from the calculation:
Volume   103 Å³ per cell
E_form   -0.43 eV per atom

=====

(2)
A relaxed structure of MnCoSn. Source: the Materials Project database, functional PBE-GGA.

Lattice parameters (Å, degrees): 4.3662 4.3662 5.4012 90.00 90.00 120.00
Last column: nearest neighbours and their distance in Å.
Sites, in units of the cell vectors:
Mn  0.0000  0.0000  0.0000  2 Mn 2.70, 6 Sn 2.86, 6 Co 2.86
Mn  0.0000  0.0000  0.5000  2 Mn 2.70, 6 Sn 2.86, 6 Co 2.86
Co  0.3333  0.6667  0.2500  5 Sn 2.52-2.70
Co  0.6667  0.3333  0.7500  5 Sn 2.52-2.70
Sn  0.3333  0.6667  0.7500  5 Co 2.52-2.70
Sn  0.6667  0.3333  0.2500  5 Co 2.52-2.70

Values from the calculation:
Volume   89 Å³ per cell
E_form   0.02 eV per atom

=====

(3)
A relaxed structure of Bi3SbO7. Source: the Materials Project database, functional PBE-GGA.

Lattice parameters (Å, degrees): 6.6953 7.0339 7.7050 73.75 89.51 76.87
Last column: nearest neighbours and their distance in Å.
Sites, in units of the cell vectors:
Bi  0.0168  0.4922  0.2446  5 O 2.25-2.52
Bi  0.2331  0.0080  0.6231  3 O 2.21-2.25
Bi  0.2416  0.9595  0.1327  3 O 2.17-2.42
Bi  0.7584  0.0405  0.8673  3 O 2.17-2.42
Bi  0.7669  0.9920  0.3769  3 O 2.21-2.25
Bi  0.9832  0.5078  0.7554  5 O 2.25-2.52
Sb  0.5000  0.5000  0.0000  6 O 2.00-2.05
Sb  0.5000  0.5000  0.5000  6 O 1.99-2.06
O  0.0334  0.1568  0.8582  3 Bi 2.17-2.42
O  0.0360  0.1278  0.3209  3 Bi 2.21-2.44
O  0.2236  0.4417  0.9798  1 Sb 2.00
O  0.2239  0.4445  0.5538  1 Sb 1.99
O  0.3896  0.8014  0.4614  1 Sb 2.02, 1 Bi 2.25
O  0.3926  0.8016  0.8850  1 Sb 2.02, 1 Bi 2.24
O  0.4048  0.5722  0.2315  2 Sb 2.05-2.06
O  0.5952  0.4278  0.7685  2 Sb 2.05-2.06
O  0.6074  0.1984  0.1150  1 Sb 2.02, 1 Bi 2.24
O  0.6104  0.1986  0.5386  1 Sb 2.02, 1 Bi 2.25
O  0.7761  0.5555  0.4462  1 Sb 1.99
O  0.7764  0.5583  0.0202  1 Sb 2.00
O  0.9640  0.8722  0.6791  3 Bi 2.21-2.44
O  0.9666  0.8432  0.1418  3 Bi 2.17-2.42

Values from the calculation:
E (MP2020)   -70.010 eV per formula unit
Volume   339 Å³ per cell
E_form   -1.78 eV per atom

=====

(4)
A relaxed structure of Na2Ta4O11. Source: the Materials Project database, functional PBE-GGA.

Lattice parameters (Å, degrees): 12.8713 12.8713 12.8713 28.21 28.21 28.21
Last column: nearest neighbours and their distance in Å.
Sites, in units of the cell vectors:
Na  0.1655  0.1655  0.1655  7 O 2.48-2.75
Na  0.3345  0.3345  0.3345  7 O 2.48-2.75
Na  0.6655  0.6655  0.6655  7 O 2.48-2.75
Na  0.8345  0.8345  0.8345  7 O 2.48-2.75
Ta  0.0000  0.0000  0.0000  6 O 2.00
Ta  0.1127  0.7500  0.3873  6 O 1.98-2.04
Ta  0.2500  0.6127  0.8873  6 O 1.98-2.04
Ta  0.3873  0.1127  0.7500  6 O 1.98-2.04
Ta  0.5000  0.5000  0.5000  6 O 2.00
Ta  0.6127  0.8873  0.2500  6 O 1.98-2.04
Ta  0.7500  0.3873  0.1127  6 O 1.98-2.04
Ta  0.8873  0.2500  0.6127  6 O 1.98-2.04
O  0.0028  0.4972  0.2500  2 Ta 2.01
O  0.0622  0.7543  0.2759  2 Ta 1.98-2.00
O  0.0939  0.0939  0.0939  3 Ta 2.04
O  0.2241  0.7457  0.4378  2 Ta 1.98-2.00
O  0.2457  0.7241  0.9378  2 Ta 1.98-2.00
O  0.2500  0.0028  0.4972  2 Ta 2.01
O  0.2543  0.5622  0.7759  2 Ta 1.98-2.00
O  0.2759  0.0622  0.7543  2 Ta 1.98-2.00
O  0.4061  0.4061  0.4061  3 Ta 2.04
O  0.4378  0.2241  0.7457  2 Ta 1.98-2.00
O  0.4972  0.2500  0.0028  2 Ta 2.01
O  0.5028  0.7500  0.9972  2 Ta 2.01
O  0.5622  0.7759  0.2543  2 Ta 1.98-2.00
O  0.5939  0.5939  0.5939  3 Ta 2.04
O  0.7241  0.9378  0.2457  2 Ta 1.98-2.00
O  0.7457  0.4378  0.2241  2 Ta 1.98-2.00
O  0.7500  0.9972  0.5028  2 Ta 2.01
O  0.7543  0.2759  0.0622  2 Ta 1.98-2.00
O  0.7759  0.2543  0.5622  2 Ta 1.98-2.00
O  0.9061  0.9061  0.9061  3 Ta 2.04
O  0.9378  0.2457  0.7241  2 Ta 1.98-2.00
O  0.9972  0.5028  0.7500  2 Ta 2.01

Values from the calculation:
E (MP2020)   -158.718 eV per formula unit
Volume   421 Å³ per cell
E_form   -3.19 eV per atom

=====

(5)
A relaxed structure of La2MgBiO6. Source: the Materials Project database, functional PBE-GGA.

Lattice parameters (Å, degrees): 5.8681 5.8681 5.8681 60.88 60.88 60.88
Last column: nearest neighbours and their distance in Å.
Sites, in units of the cell vectors:
La  0.2494  0.2494  0.2494  3 O 2.35
La  0.7506  0.7506  0.7506  3 O 2.35
Mg  0.5000  0.5000  0.5000  6 O 2.11
Bi  0.0000  0.0000  0.0000  6 O 2.25
O  0.1531  0.7427  0.3639  1 Mg 2.11, 1 Bi 2.25, 1 La 2.35
O  0.2573  0.6361  0.8469  1 Mg 2.11, 1 Bi 2.25, 1 La 2.35
O  0.3639  0.1531  0.7427  1 Mg 2.11, 1 Bi 2.25, 1 La 2.35
O  0.6361  0.8469  0.2573  1 Mg 2.11, 1 Bi 2.25, 1 La 2.35
O  0.7427  0.3639  0.1531  1 Mg 2.11, 1 Bi 2.25, 1 La 2.35
O  0.8469  0.2573  0.6361  1 Mg 2.11, 1 Bi 2.25, 1 La 2.35

Values from the calculation:
E (MP2020)   -74.104 eV per formula unit
Volume   146 Å³ per cell
E_form   -2.91 eV per atom

=====

(6)
A relaxed structure of H6PbC2S2O7. Source: the Materials Project database, functional PBE-GGA.

Lattice parameters (Å, degrees): 9.4441 10.1656 10.6054 79.32 84.38 65.60
Last column: nearest neighbours and their distance in Å.
Sites, in units of the cell vectors:
H  0.0019  0.0749  0.1084  1 C 1.10
H  0.0100  0.1089  0.5899  1 C 1.10
H  0.0262  0.6175  0.0768  1 C 1.10
H  0.0315  0.4547  0.3784  1 C 1.10
H  0.0751  0.3456  0.7719  1 C 1.09
H  0.0848  0.7307  0.8903  1 C 1.09
H  0.0911  0.1961  0.8980  1 C 1.09
H  0.0942  0.8536  0.7479  1 C 1.10
H  0.0976  0.2598  0.3859  1 C 1.10
H  0.1079  0.8824  0.2637  1 C 1.09
H  0.1138  0.7162  0.3625  1 C 1.10
H  0.1586  0.3641  0.2529  1 C 1.10
H  0.8414  0.6359  0.7471  1 C 1.10
H  0.8862  0.2838  0.6375  1 C 1.10
H  0.8921  0.1176  0.7363  1 C 1.09
H  0.9024  0.7402  0.6141  1 C 1.10
H  0.9058  0.1464  0.2521  1 C 1.10
H  0.9089  0.8039  0.1020  1 C 1.09
H  0.9152  0.2693  0.1097  1 C 1.09
H  0.9249  0.6544  0.2281  1 C 1.09
H  0.9685  0.5453  0.6216  1 C 1.10
H  0.9738  0.3825  0.9232  1 C 1.10
H  0.9900  0.8911  0.4101  1 C 1.10
H  0.9981  0.9251  0.8916  1 C 1.10
Pb  0.4451  0.4972  0.7280  6 O 2.50-2.70
Pb  0.4743  0.0548  0.6942  6 O 2.53-2.80
Pb  0.5257  0.9452  0.3058  6 O 2.53-2.80
Pb  0.5549  0.5028  0.2720  6 O 2.50-2.70
C  0.0777  0.3100  0.8759  3 H 1.09-1.10
C  0.0933  0.8350  0.8530  3 H 1.09-1.10
C  0.0993  0.8289  0.3619  3 H 1.09-1.10
C  0.1273  0.3546  0.3555  3 H 1.10
C  0.8727  0.6454  0.6445  3 H 1.10
C  0.9007  0.1711  0.6381  3 H 1.09-1.10
C  0.9067  0.1650  0.1470  3 H 1.09-1.10
C  0.9223  0.6900  0.1241  3 H 1.09-1.10
S  0.2440  0.3204  0.9301  3 O 1.48
S  0.2556  0.8213  0.4474  3 O 1.47-1.50
S  0.2729  0.8245  0.9010  3 O 1.47-1.49
S  0.2918  0.3255  0.4421  3 O 1.48-1.49
S  0.7082  0.6745  0.5579  3 O 1.48-1.49
S  0.7271  0.1755  0.0990  3 O 1.47-1.49
S  0.7444  0.1787  0.5526  3 O 1.47-1.50
S  0.7560  0.6796  0.0699  3 O 1.48
O  0.2209  0.4759  0.8988  1 S 1.48
O  0.2336  0.9726  0.4526  1 S 1.48
O  0.2456  0.3190  0.5797  1 S 1.48
O  0.2530  0.2729  0.0711  1 S 1.48
O  0.2543  0.7339  0.5741  1 S 1.47
O  0.2653  0.8163  0.0432  1 S 1.49
O  0.2841  0.9630  0.8396  1 S 1.48
O  0.2893  0.0447  0.1678  1 O 2.25
O  0.3227  0.5843  0.1353  1 O 2.24, 1 Pb 2.50
O  0.3327  0.4529  0.3950  1 S 1.49
O  0.3814  0.2284  0.8591  1 S 1.48
O  0.3979  0.6943  0.8587  1 S 1.47
O  0.4003  0.7501  0.3697  1 S 1.50
O  0.4174  0.1854  0.4170  1 S 1.48
O  0.5826  0.8146  0.5830  1 S 1.48
O  0.5997  0.2499  0.6303  1 S 1.50
O  0.6021  0.3057  0.1413  1 S 1.47
O  0.6186  0.7716  0.1409  1 S 1.48
O  0.6673  0.5471  0.6050  1 S 1.49
O  0.6773  0.4157  0.8647  1 O 2.24, 1 Pb 2.50
O  0.7107  0.9553  0.8322  1 O 2.25
O  0.7159  0.0370  0.1604  1 S 1.48
O  0.7347  0.1837  0.9568  1 S 1.49
O  0.7457  0.2661  0.4259  1 S 1.47
O  0.7470  0.7271  0.9289  1 S 1.48
O  0.7544  0.6810  0.4203  1 S 1.48
O  0.7664  0.0274  0.5474  1 S 1.48
O  0.7791  0.5241  0.1012  1 S 1.48

Values from the calculation:
E (MP2020)   -101.242 eV per formula unit
Volume   911 Å³ per cell
E_form   -0.88 eV per atom

=====

Number 1: total DFT energy (no corrections) -30.68 eV per cell. Number 2: total DFT energy (no corrections) -40.46 eV per cell. Number 3: total DFT energy (no corrections) -130.40 eV per cell. Number 4: total DFT energy (no corrections) -302.32 eV per cell. Number 5: total DFT energy (no corrections) -69.98 eV per cell. Number 6: total DFT energy (no corrections) -385.73 eV per cell.